This record from the Materials Project describes a geometry-optimized WSe2 structure. The functional is PBE-GGA.

a b c (Å): 3.3271 3.3271 25.0690
angles (deg): 90.00 90.00 120.00
Space group P-3m1 (No. 164)
One atom of each set of equivalent atoms:
1 W 0.3333 0.6667 0.3497 [2 per cell]
2 Se 0.3333 0.6667 0.5832 [2 per cell]
3 Se 0.3333 0.6667 0.7173 [2 per cell]

- formation energy (kJ per mole of atoms) = -84.1